The following is a GGA+U calculation of crystalline Al2VO7 at its relaxed geometry, from the Materials Project.

Lattice parameters (Å, degrees): 5.5716 8.1929 8.1929 63.18 71.08 71.08
Fractional coordinates of all 20 atoms:
O (0.1849, 0.2921, 0.2921)
O (0.6133, 0.7400, 0.4133)
O (0.7275, 0.2492, 0.2492)
O (0.3867, 0.2600, 0.5867)
O (0.4791, 0.9277, 0.9277)
O (0.1853, 0.2616, 0.9445)
O (0.6133, 0.4133, 0.7400)
O (0.3867, 0.5867, 0.2600)
O (0.1853, 0.9445, 0.2616)
O (0.5209, 0.0723, 0.0723)
O (0.8147, 0.7384, 0.0555)
O (0.8147, 0.0555, 0.7384)
O (0.2725, 0.7508, 0.7508)
O (0.8151, 0.7079, 0.7079)
V (0.5797, 0.6532, 0.6532)
V (0.4203, 0.3468, 0.3468)
Al (0.9317, 0.8086, 0.8086)
Al (0.5000, 0.2077, 0.7923)
Al (0.5000, 0.7923, 0.2077)
Al (0.0683, 0.1914, 0.1914)

Computed properties:
As for the space group: No. 12. Its size of the total moment is 6.0 μB per cell. As for the total energy: -6.741 eV/atom. The formation energy comes out at -2.270 eV/atom.